[1]
# Zn2P3CN3O12 (PBE-GGA, optimized geometry)
data_Zn2P3CN3O12
_cell_length_a 5.318
_cell_length_b 7.842
_cell_length_c 16.933
_cell_angle_alpha 90.00
_cell_angle_beta 90.44
_cell_angle_gamma 90.00
_space_group_name_H-M_alt 'P 1'
_space_group_IT_number 1
loop_
_space_group_symop_operation_xyz
'x,y,z'
loop_
_atom_site_label
_atom_site_type_symbol
_atom_site_fract_x
_atom_site_fract_y
_atom_site_fract_z
_atom_site_occupancy
Zn1 Zn 0.196 0.000 0.420 1
Zn2 Zn 0.204 0.209 0.085 1
Zn3 Zn 0.796 0.709 0.915 1
Zn4 Zn 0.804 0.500 0.580 1
P1 P 0.297 0.598 0.002 1
P2 P 0.308 0.601 0.486 1
P3 P 0.457 0.111 0.254 1
P4 P 0.543 0.611 0.746 1
P5 P 0.692 0.101 0.514 1
P6 P 0.703 0.098 0.998 1
C1 C 0.120 0.103 0.759 1
C2 C 0.880 0.603 0.241 1
N1 N 0.103 0.682 0.228 1
N2 N 0.221 0.103 0.685 1
N3 N 0.239 0.024 0.819 1
N4 N 0.761 0.524 0.181 1
N5 N 0.779 0.603 0.315 1
N6 N 0.897 0.182 0.772 1
O1 O 0.148 0.634 0.925 1
O2 O 0.158 0.559 0.561 1
O3 O 0.195 0.446 0.048 1
O4 O 0.207 0.755 0.440 1
O5 O 0.249 0.755 0.057 1
O6 O 0.270 0.443 0.432 1
O7 O 0.271 0.022 0.309 1
O8 O 0.308 0.221 0.195 1
O9 O 0.339 0.716 0.703 1
O10 O 0.368 0.480 0.787 1
O11 O 0.411 0.124 0.493 1
O12 O 0.421 0.079 0.016 1
O13 O 0.579 0.579 0.984 1
O14 O 0.589 0.624 0.507 1
O15 O 0.632 0.980 0.213 1
O16 O 0.661 0.216 0.297 1
O17 O 0.692 0.721 0.805 1
O18 O 0.729 0.522 0.691 1
O19 O 0.730 0.943 0.568 1
O20 O 0.751 0.255 0.943 1
O21 O 0.793 0.255 0.560 1
O22 O 0.805 0.946 0.952 1
O23 O 0.842 0.059 0.439 1
O24 O 0.852 0.134 0.075 1
# Energy of formation   -106 kJ per mole of atoms

***

[2]
# KYMg14O16 (PBE-GGA, optimized geometry)
data_KYMg14O16
_cell_length_a 8.731
_cell_length_b 8.731
_cell_length_c 4.443
_cell_angle_alpha 90.00
_cell_angle_beta 90.00
_cell_angle_gamma 90.00
_space_group_name_H-M_alt 'P 1'
_space_group_IT_number 1
loop_
_space_group_symop_operation_xyz
'x,y,z'
loop_
_atom_site_label
_atom_site_type_symbol
_atom_site_fract_x
_atom_site_fract_y
_atom_site_fract_z
_atom_site_occupancy
K1 K 0.000 0.000 0.000 1
Y1 Y 0.500 0.500 0.000 1
Mg1 Mg 0.000 0.249 0.500 1
Mg2 Mg 0.000 0.500 0.000 1
Mg3 Mg 0.000 0.751 0.500 1
Mg4 Mg 0.236 0.500 0.500 1
Mg5 Mg 0.243 0.243 0.000 1
Mg6 Mg 0.243 0.757 0.000 1
Mg7 Mg 0.249 0.000 0.500 1
Mg8 Mg 0.500 0.000 0.000 1
Mg9 Mg 0.500 0.236 0.500 1
Mg10 Mg 0.500 0.764 0.500 1
Mg11 Mg 0.751 0.000 0.500 1
Mg12 Mg 0.757 0.243 0.000 1
Mg13 Mg 0.757 0.757 0.000 1
Mg14 Mg 0.764 0.500 0.500 1
O1 O 0.000 0.000 0.500 1
O2 O 0.000 0.274 0.000 1
O3 O 0.000 0.500 0.500 1
O4 O 0.000 0.726 0.000 1
O5 O 0.245 0.500 0.000 1
O6 O 0.252 0.252 0.500 1
O7 O 0.252 0.748 0.500 1
O8 O 0.274 0.000 0.000 1
O9 O 0.500 0.000 0.500 1
O10 O 0.500 0.245 0.000 1
O11 O 0.500 0.500 0.500 1
O12 O 0.500 0.755 0.000 1
O13 O 0.726 0.000 0.000 1
O14 O 0.748 0.252 0.500 1
O15 O 0.748 0.748 0.500 1
O16 O 0.755 0.500 0.000 1
# ΔE to the lowest computed polymorph   0.000 eV per atom
# Energy of formation   -280 kJ per mole of atoms